Entry 1:
A plane-wave DFT calculation with PBE was carried out for NbCr3Ag2S8 after structural relaxation.

Geometry as extended XYZ:
```
28
Lattice="6.5052 0.0000 0.0000 -0.0433 7.6165 0.0000 -0.8963 -1.7263 12.2341" Properties=species:S:1:pos:R:3 pbc="T T T"
Nb 0.0000 0.0000 0.0000
Nb 1.0227 5.7616 4.8159
Cr 0.0281 0.2210 8.5154
Cr 1.1536 1.9739 4.9169
Cr 2.2865 0.1769 12.0957
Cr 2.2985 3.9158 12.0956
Cr 3.2996 1.9140 8.5082
Cr 4.1748 3.7830 4.9397
Ag 0.0385 3.8547 8.5207
Ag 3.2607 5.7809 8.5251
Ag 4.2929 0.0521 4.9046
Ag 5.4126 2.0461 12.1438
S -0.1336 3.7799 4.1485
S 0.1615 0.0873 3.9510
S 1.1076 1.8263 0.8658
S 1.0919 5.7354 0.7972
S 0.9297 5.9154 7.1050
S 1.2354 1.8135 7.1730
S 2.1015 0.2727 9.8313
S 2.3388 3.7528 9.8857
S 3.1591 2.0899 3.9554
S 3.1977 5.6028 3.9683
S 3.9797 3.7814 0.7847
S 4.2296 -0.0293 0.6964
S 4.2450 3.6891 7.1177
S 4.4580 0.1799 7.3800
S 5.3652 1.8828 9.6651
S 5.6280 5.9842 9.9580
```

## Properties
* total magnetization: 18.0 μB/cell

***

Entry 2:
A plane-wave DFT calculation with PBE was carried out for NbCr3Ag2S8 after structural relaxation.

Geometry as extended XYZ:
```
28
Lattice="11.9118 0.0000 0.0000 0.0000 3.4632 0.0000 -0.3084 0.0000 12.2599" Properties=species:S:1:pos:R:3 pbc="T T T"
Nb 1.7055 0.8658 2.6951
Nb 9.8980 2.5974 9.5648
Cr 1.1546 0.8658 7.1178
Cr 3.9447 2.5974 8.7032
Cr 4.7340 2.5974 0.8835
Cr 6.8695 0.8658 11.3764
Cr 7.6587 0.8658 3.5567
Cr 10.4489 2.5974 5.1422
Ag 1.4625 2.5974 11.0801
Ag 4.3318 0.8658 5.1744
Ag 7.2717 2.5974 7.0856
Ag 10.1409 0.8658 1.1798
S 0.2398 0.8658 4.6985
S 0.5348 2.5974 1.4110
S 2.2927 0.8658 9.1947
S 2.6631 2.5974 6.6402
S 3.1431 0.8658 0.4481
S 3.4703 2.5974 3.0647
S 5.1865 0.8658 7.6901
S 5.2776 2.5974 10.8522
S 6.3258 0.8658 1.4077
S 6.4169 2.5974 4.5699
S 8.1331 0.8658 9.1953
S 8.4604 2.5974 11.8118
S 8.9403 0.8658 5.6197
S 9.3108 2.5974 3.0653
S 11.0687 0.8658 10.8490
S 11.3637 2.5974 7.5614
```

## Properties
* total magnetization: 18.0 μB/cell

***

Entry 3:
A plane-wave DFT calculation with PBE was carried out for NbCr3Ag2S8 after structural relaxation.

Geometry as extended XYZ:
```
28
Lattice="3.4741 0.0000 0.0000 0.0000 11.8827 0.0000 0.0000 0.0000 12.2394" Properties=species:S:1:pos:R:3 pbc="T T T"
Nb 0.0000 1.2173 0.0000
Nb 1.7371 10.6654 6.1197
Cr 0.0000 1.7781 4.3675
Cr 0.0000 7.0823 0.8893
Cr 0.0000 7.6062 8.6113
Cr 1.7371 4.2766 2.4916
Cr 1.7371 4.8004 7.0090
Cr 1.7371 10.1046 10.4872
Ag 0.0000 4.6827 10.6142
Ag 0.0000 10.4379 2.3529
Ag 1.7371 1.4449 8.4726
Ag 1.7371 7.2001 4.4945
S 0.0000 0.5718 6.4674
S 0.0000 2.5993 2.0254
S 0.0000 3.5760 8.0636
S 0.0000 5.7940 2.9055
S 0.0000 6.4259 6.4820
S 0.0000 8.4835 10.9543
S 0.0000 9.4639 4.8895
S 0.0000 11.6919 9.9896
S 1.7371 0.1908 3.8699
S 1.7371 2.4188 11.0092
S 1.7371 3.3993 4.8346
S 1.7371 5.4569 0.3623
S 1.7371 6.0887 9.0252
S 1.7371 8.3068 1.9439
S 1.7371 9.2834 8.1451
S 1.7371 11.3109 0.3477
```

## Properties
* total magnetization: 18.0 μB/cell

***

Entry 4:
A plane-wave DFT calculation with PBE was carried out for NbCr3Ag2S8 after structural relaxation.

Geometry as extended XYZ:
```
28
Lattice="7.3506 0.0000 0.0000 0.0000 10.1901 0.0000 0.0000 0.0000 7.2866" Properties=species:S:1:pos:R:3 pbc="T T T"
Nb 0.2972 0.0000 0.0000
Nb 7.0534 0.0000 3.6433
Cr 1.8631 2.5683 1.7762
Cr 1.8631 7.6218 5.5104
Cr 3.6461 5.0951 3.6433
Cr 3.7046 5.0951 0.0000
Cr 5.4876 2.5683 1.8671
Cr 5.4876 7.6218 5.4195
Ag 0.0000 3.9194 5.4649
Ag 0.0000 6.2707 1.8216
Ag 3.6753 1.4300 5.4649
Ag 3.6753 8.7601 1.8216
S 0.0363 2.4454 3.4292
S 0.0363 7.7447 3.8574
S 1.7126 0.0946 1.9096
S 1.7126 10.0955 5.3770
S 2.0859 4.9444 1.7965
S 2.0859 5.2457 5.4900
S 3.6415 2.7015 3.3802
S 3.6415 7.4886 3.9063
S 3.7092 2.7015 0.2630
S 3.7092 7.4886 7.0235
S 5.2648 4.9444 1.8467
S 5.2648 5.2457 5.4398
S 5.6380 0.0946 1.7337
S 5.6380 10.0955 5.5529
S 7.3143 2.4454 0.2141
S 7.3143 7.7447 7.0724
```

## Properties
* total magnetization: 17.7 μB/cell

***

Entry 5:
A plane-wave DFT calculation with PBE was carried out for NbCr3Ag2S8 after structural relaxation.

Geometry as extended XYZ:
```
14
Lattice="6.2246 -3.6576 0.0000 6.2246 3.6576 0.0000 -4.1253 0.0000 6.0008" Properties=species:S:1:pos:R:3 pbc="T T T"
Nb 0.0000 0.0000 0.0000
Cr 4.1620 3.3015 3.0004
Cr 3.1066 1.4616 0.0277
Cr 5.2173 1.4616 5.9731
Ag 2.0199 -0.1748 3.7189
Ag 6.3040 -0.1748 2.2819
S 5.0589 1.7476 1.4027
S 3.2650 1.7476 4.5981
S -0.2634 -0.3446 4.6094
S 2.1018 -0.3849 1.2498
S 5.0577 -2.2415 1.5168
S 8.5873 -0.3446 1.3914
S 6.2221 -0.3849 4.7511
S 3.2662 -2.2415 4.4840
```

## Properties
* total magnetization: 9.0 μB/cell

***

Entry 6:
A plane-wave DFT calculation with PBE was carried out for NbCr3Ag2S8 after structural relaxation.

Geometry as extended XYZ:
```
28
Lattice="6.0129 0.0000 0.0000 0.0000 13.3024 0.0000 -0.0327 0.0000 6.9054" Properties=species:S:1:pos:R:3 pbc="T T T"
Nb 0.0000 0.0000 0.0000
Nb 0.0000 6.6512 0.0000
Cr -0.0164 0.0000 3.4527
Cr -0.0164 6.6512 3.4527
Cr 2.9702 0.0526 5.1843
Cr 2.9702 6.5986 5.1843
Cr 3.0100 6.7038 1.7211
Cr 3.0100 13.2498 1.7211
Ag 0.9381 9.9768 1.7680
Ag 2.8528 3.3256 1.7855
Ag 3.1274 9.9768 5.1199
Ag 5.0421 3.3256 5.1374
S 0.9812 1.4112 5.1301
S 0.9812 5.2400 5.1301
S 1.0395 1.3669 1.7731
S 1.0395 5.2843 1.7731
S 1.9739 7.9872 3.4426
S 1.9739 11.9663 3.4426
S 2.0135 8.0759 6.8953
S 2.0135 11.8777 6.8953
S 3.9667 1.4247 0.0101
S 3.9667 5.2265 0.0101
S 4.0063 1.3361 3.4628
S 4.0063 5.3151 3.4628
S 4.9407 8.0181 5.1323
S 4.9407 11.9355 5.1323
S 4.9990 8.0624 1.7753
S 4.9990 11.8912 1.7753
```

## Properties
* total magnetization: 18.0 μB/cell

***

| no. | ΔE_f (eV per atom) | raw total energy (eV per atom) |
| --- | --- | --- |
| 1 | -0.7112 | -5.98 |
| 2 | -0.7864 | -6.06 |
| 3 | -0.7827 | -6.05 |
| 4 | -0.8998 | -6.17 |
| 5 | -0.8953 | -6.17 |
| 6 | -0.8544 | -6.13 |